First-principles (PBE with a Hubbard U) data for a geometry-optimized Li4Cr3Ni3Te2O16 structure, as listed in Materials Project.

Values from the calculation:
**Energy of formation**: -53.0 eV per formula unit
**Calculated density**: 4.95 g/cm3
**Final energy**: -5.990 eV/atom

The structure in POSCAR format:
```
Li4Cr3Ni3Te2O16
1.0
-2.693 -5.258 0.394
2.892 -4.934 -1.533
3.177 -1.103 9.022
Li Cr Ni Te O
4 3 3 2 16
Direct
0.665 0.665 0.091
0.996 0.996 0.015
0.999 0.999 0.510
0.333 0.333 0.589
0.341 0.832 0.787
0.832 0.341 0.787
0.172 0.172 0.286
0.830 0.830 0.787
0.172 0.660 0.287
0.660 0.172 0.287
0.670 0.670 0.515
0.335 0.335 0.017
0.344 0.832 0.410
0.519 0.519 0.655
0.662 0.662 0.891
0.004 0.004 0.697
0.004 0.004 0.201
0.832 0.344 0.410
0.512 0.964 0.650
0.964 0.512 0.650
0.170 0.170 0.906
0.833 0.833 0.411
0.033 0.474 0.148
0.474 0.033 0.148
0.330 0.330 0.390
0.171 0.662 0.910
0.481 0.481 0.147
0.662 0.171 0.910
```

---

First-principles (PBE with a Hubbard U) data for a geometry-optimized Sr2ZnMoO6 structure, as listed in Materials Project.

Values from the calculation:
**Energy of formation**: -25.5 eV per formula unit
**Calculated density**: 5.52 g/cm3
**Final energy**: -6.333 eV/atom

The structure in POSCAR format:
```
Sr2ZnMoO6
1.0
-0.234 -5.654 0.595
2.366 -2.483 4.540
-3.297 -2.303 4.024
Sr Zn Mo O
2 1 1 6
Direct
0.250 0.250 0.250
0.750 0.750 0.750
0.500 0.500 0.500
0.000 0.000 0.000
0.759 0.241 0.759
0.241 0.241 0.759
0.759 0.759 0.241
0.759 0.241 0.241
0.241 0.759 0.241
0.241 0.759 0.759
```

---

First-principles (PBE with a Hubbard U) data for a geometry-optimized Mg4V5Te3O18 structure, as listed in Materials Project.

Values from the calculation:
**Energy of formation**: -68.5 eV per formula unit
**Calculated density**: 4.65 g/cm3
**Final energy**: -6.597 eV/atom

The structure in POSCAR format:
```
Mg4V5Te3O18
1.0
4.625 7.431 0.000
-4.625 7.431 0.000
0.000 0.927 10.629
Mg V Te O
8 10 6 36
Direct
0.351 0.065 0.073
0.366 0.683 0.974
0.935 0.649 0.427
0.317 0.634 0.526
0.683 0.366 0.474
0.065 0.351 0.573
0.649 0.935 0.927
0.634 0.317 0.026
0.304 0.991 0.732
0.991 0.304 0.232
0.144 0.527 0.050
0.527 0.144 0.550
0.473 0.856 0.450
0.832 0.168 0.750
0.168 0.832 0.250
0.856 0.473 0.950
0.696 0.009 0.268
0.009 0.696 0.768
0.659 0.654 0.698
0.000 0.000 0.000
0.000 0.000 0.500
0.654 0.659 0.198
0.341 0.346 0.302
0.346 0.341 0.802
0.912 0.599 0.613
0.252 0.912 0.569
0.381 0.771 0.332
0.931 0.925 0.180
0.088 0.748 0.931
0.075 0.069 0.320
0.612 0.561 0.039
0.906 0.244 0.575
0.094 0.756 0.425
0.213 0.288 0.149
0.431 0.770 0.812
0.787 0.712 0.851
0.748 0.088 0.431
0.552 0.901 0.620
0.230 0.569 0.688
0.388 0.439 0.961
0.569 0.230 0.188
0.099 0.448 0.880
0.229 0.619 0.168
0.770 0.431 0.312
0.599 0.912 0.113
0.448 0.099 0.380
0.756 0.094 0.925
0.561 0.612 0.539
0.619 0.229 0.668
0.925 0.931 0.680
0.288 0.213 0.649
0.439 0.388 0.461
0.912 0.252 0.069
0.901 0.552 0.120
0.088 0.401 0.387
0.069 0.075 0.820
0.244 0.906 0.075
0.712 0.787 0.351
0.771 0.381 0.832
0.401 0.088 0.887
```

---

no.,total magnetic moment (μB per cell)
1,14.000
2,0.000
3,18.000